This record from Materials Project describes a relaxed structure of SmAl7Au3. The functional is r²SCAN.

Values from the calculation:
formation energy: -0.58 eV/atom
total DFT energy (no corrections): -21.36 eV/atom

Cell: 8.4153 8.4153 8.4153 Å, 57.38 57.38 57.38°
Closest atoms and distances in Å follow each position.
Positions (direct):
1 Sm 0.0000 0.0000 0.0000  6 Au 3.25, 12 Al 3.30-3.38
2 Sm 0.5000 0.5000 0.5000  6 Au 3.25, 12 Al 3.30-3.38
3 Al 0.9323 0.1472 0.3314  3 Au 2.58-2.66, 4 Al 2.80-2.88
4 Al 0.3314 0.9323 0.1472  3 Au 2.58-2.66, 4 Al 2.80-2.88
5 Al 0.1472 0.3314 0.9323  3 Au 2.58-2.66, 4 Al 2.80-2.88
6 Al 0.5677 0.1686 0.3528  3 Au 2.58-2.66, 4 Al 2.80-2.88
7 Al 0.3528 0.5677 0.1686  3 Au 2.58-2.66, 4 Al 2.80-2.88
8 Al 0.1686 0.3528 0.5677  3 Au 2.58-2.66, 4 Al 2.80-2.88
9 Al 0.0677 0.8528 0.6686  3 Au 2.58-2.66, 4 Al 2.80-2.88
10 Al 0.6686 0.0677 0.8528  3 Au 2.58-2.66, 4 Al 2.80-2.88
11 Al 0.7500 0.7500 0.7500  3 Au 2.61, 6 Al 2.87
12 Al 0.2500 0.2500 0.2500  3 Au 2.61, 6 Al 2.87
13 Al 0.8314 0.6472 0.4323  3 Au 2.58-2.66, 4 Al 2.80-2.88
14 Al 0.6472 0.4323 0.8314  3 Au 2.58-2.66, 4 Al 2.80-2.88
15 Al 0.4323 0.8314 0.6472  3 Au 2.58-2.66, 4 Al 2.80-2.88
16 Al 0.8528 0.6686 0.0677  3 Au 2.58-2.66, 4 Al 2.80-2.88
17 Au 0.2500 0.5728 0.9272  7 Al 2.58-2.66
18 Au 0.9272 0.2500 0.5728  7 Al 2.58-2.66
19 Au 0.5728 0.9272 0.2500  7 Al 2.58-2.66
20 Au 0.7500 0.4272 0.0728  7 Al 2.58-2.66
21 Au 0.0728 0.7500 0.4272  7 Al 2.58-2.66
22 Au 0.4272 0.0728 0.7500  7 Al 2.58-2.66